[1]
# Ti5Fe7O18 (PBE with a Hubbard U, optimized geometry)
data_Ti5Fe7O18
_chemical_formula_sum 'Ti5 Fe7 O18'
_symmetry_space_group_name_H-M 'P 1'
_symmetry_Int_Tables_number 1
_symmetry_space_group_name_Hall 'P 1'
_cell_length_a 5.563
_cell_length_b 7.631
_cell_length_c 8.939
_cell_angle_alpha 113.14
_cell_angle_beta 105.33
_cell_angle_gamma 96.06
loop_
_atom_site_label
_atom_site_fract_x
_atom_site_fract_y
_atom_site_fract_z
Ti1 0.000 0.000 0.000
Ti2 0.078 0.960 0.333
Ti3 0.337 0.336 0.670
Ti4 0.662 0.662 0.327
Ti5 0.756 0.622 0.667
Fe1 0.084 0.457 0.332
Fe2 0.339 0.838 0.670
Fe3 0.412 0.293 0.997
Fe4 0.417 0.793 0.999
Fe5 0.665 0.170 0.329
Fe6 0.748 0.120 0.663
Fe7 0.993 0.496 0.999
O1 0.095 0.259 0.450
O2 0.098 0.273 0.091
O3 0.127 0.302 0.793
O4 0.283 0.992 0.204
O5 0.302 0.000 0.894
O6 0.320 0.019 0.555
O7 0.415 0.601 0.116
O8 0.434 0.613 0.751
O9 0.463 0.644 0.469
O10 0.629 0.324 0.861
O11 0.648 0.350 0.573
O12 0.666 0.372 0.229
O13 0.741 0.925 0.781
O14 0.764 0.944 0.423
O15 0.791 0.967 0.127
O16 0.974 0.686 0.244
O17 0.976 0.668 0.547
O18 0.993 0.696 0.885
# space-group type	P1, No. 1
# total energy after the MP2020 corrections	-263.85	eV/cell
# E_tot	-235.7	eV/cell
# ΔH_f (0 K)	-2534	meV per atom
# crystal system	triclinic

[2]
# Ti8Fe35O64 (PBE with a Hubbard U, optimized geometry)
data_Ti8Fe35O64
_chemical_formula_sum 'Ti8 Fe35 O64'
_symmetry_space_group_name_H-M 'P 1'
_symmetry_Int_Tables_number 1
_symmetry_space_group_name_Hall 'P 1'
_cell_length_a 8.531
_cell_length_b 8.562
_cell_length_c 17.115
_cell_angle_alpha 90.23
_cell_angle_beta 90.20
_cell_angle_gamma 90.06
loop_
_atom_site_label
_atom_site_fract_x
_atom_site_fract_y
_atom_site_fract_z
Ti1 0.000 0.000 0.000
Ti2 0.001 0.005 0.494
Ti3 0.224 0.224 0.245
Ti4 0.240 0.218 0.741
Ti5 0.492 0.975 0.257
Ti6 0.495 0.477 0.497
Ti7 0.745 0.996 0.630
Ti8 0.749 0.982 0.130
Fe1 0.108 0.852 0.680
Fe2 0.117 0.358 0.930
Fe3 0.120 0.368 0.427
Fe4 0.121 0.853 0.182
Fe5 0.230 0.478 0.619
Fe6 0.237 0.478 0.120
Fe7 0.244 0.742 0.492
Fe8 0.248 0.733 0.996
Fe9 0.254 0.977 0.866
Fe10 0.356 0.609 0.310
Fe11 0.366 0.599 0.809
Fe12 0.370 0.105 0.563
Fe13 0.374 0.114 0.063
Fe14 0.487 0.740 0.627
Fe15 0.489 0.229 0.373
Fe16 0.493 0.487 0.999
Fe17 0.495 0.227 0.871
Fe18 0.500 0.730 0.127
Fe19 0.610 0.361 0.686
Fe20 0.611 0.348 0.184
Fe21 0.618 0.864 0.938
Fe22 0.628 0.855 0.438
Fe23 0.732 0.744 0.750
Fe24 0.738 0.490 0.366
Fe25 0.743 0.241 0.002
Fe26 0.743 0.491 0.871
Fe27 0.752 0.243 0.501
Fe28 0.864 0.116 0.315
Fe29 0.866 0.624 0.559
Fe30 0.873 0.620 0.058
Fe31 0.876 0.117 0.813
Fe32 0.980 0.488 0.240
Fe33 0.988 0.481 0.740
Fe34 0.991 0.744 0.368
Fe35 0.992 0.735 0.870
O1 0.001 0.501 0.126
O2 0.004 0.222 0.488
O3 0.004 0.756 0.994
O4 0.007 0.744 0.492
O5 0.010 0.726 0.252
O6 0.012 0.247 0.755
O7 0.012 0.248 0.249
O8 0.217 0.000 0.744
O9 0.226 0.470 0.746
O10 0.227 0.977 0.506
O11 0.227 0.982 0.003
O12 0.228 0.721 0.378
O13 0.235 0.472 0.239
O14 0.235 0.492 0.001
O15 0.245 0.732 0.877
O16 0.248 0.723 0.115
O17 0.251 0.256 0.359
O18 0.252 0.729 0.615
O19 0.255 0.002 0.237
O20 0.255 0.233 0.866
O21 0.255 0.246 0.129
O22 0.259 0.492 0.495
O23 0.260 0.238 0.632
O24 0.465 0.757 0.247
O25 0.471 0.251 0.753
O26 0.477 0.216 0.248
O27 0.480 0.738 0.999
O28 0.483 0.253 0.498
O29 0.483 0.484 0.121
O30 0.483 0.723 0.500
O31 0.492 0.999 0.879
O32 0.493 0.712 0.740
O33 0.496 0.495 0.612
O34 0.499 0.495 0.379
O35 0.502 0.236 0.993
O36 0.504 0.473 0.876
O37 0.508 0.981 0.126
O38 0.515 0.971 0.613
O39 0.515 0.981 0.364
O40 0.721 0.999 0.237
O41 0.722 0.217 0.621
O42 0.725 0.492 0.495
O43 0.727 0.258 0.382
O44 0.728 0.753 0.622
O45 0.729 0.213 0.115
O46 0.734 0.244 0.878
O47 0.739 0.760 0.111
O48 0.740 0.726 0.874
O49 0.748 0.467 0.250
O50 0.749 0.476 0.994
O51 0.750 0.480 0.752
O52 0.756 0.721 0.379
O53 0.760 0.987 0.504
O54 0.761 0.998 0.002
O55 0.769 0.990 0.738
O56 0.972 0.966 0.611
O57 0.977 0.974 0.116
O58 0.978 0.496 0.365
O59 0.980 0.970 0.386
O60 0.981 0.485 0.868
O61 0.986 0.219 0.991
O62 0.986 0.500 0.625
O63 0.987 0.723 0.749
O64 0.997 0.986 0.883
# space-group type	P1, No. 1
# total energy after the MP2020 corrections	-769.96	eV/cell
# E_tot	-647.0	eV/cell
# ΔH_f (0 K)	-875	meV per atom
# crystal system	triclinic

[3]
# Ti6Fe8O21 (PBE with a Hubbard U, optimized geometry)
data_Ti6Fe8O21
_chemical_formula_sum 'Ti12 Fe16 O42'
_symmetry_space_group_name_H-M 'P 1'
_symmetry_Int_Tables_number 1
_symmetry_space_group_name_Hall 'P 1'
_cell_length_a 7.601
_cell_length_b 8.945
_cell_length_c 12.370
_cell_angle_alpha 82.85
_cell_angle_beta 84.50
_cell_angle_gamma 66.57
loop_
_atom_site_label
_atom_site_fract_x
_atom_site_fract_y
_atom_site_fract_z
Ti1 0.026 0.157 0.019
Ti2 0.120 0.556 0.407
Ti3 0.178 0.866 0.446
Ti4 0.260 0.276 0.840
Ti5 0.320 0.589 0.870
Ti6 0.406 0.994 0.265
Ti7 0.594 0.006 0.735
Ti8 0.680 0.411 0.130
Ti9 0.740 0.724 0.160
Ti10 0.822 0.134 0.554
Ti11 0.880 0.444 0.593
Ti12 0.974 0.843 0.981
Fe1 0.042 0.708 0.698
Fe2 0.103 0.008 0.732
Fe3 0.192 0.415 0.122
Fe4 0.242 0.730 0.160
Fe5 0.330 0.128 0.553
Fe6 0.382 0.448 0.588
Fe7 0.455 0.295 0.304
Fe8 0.472 0.846 0.986
Fe9 0.528 0.154 0.014
Fe10 0.545 0.705 0.696
Fe11 0.618 0.552 0.412
Fe12 0.670 0.872 0.447
Fe13 0.758 0.270 0.840
Fe14 0.808 0.585 0.878
Fe15 0.897 0.992 0.268
Fe16 0.958 0.292 0.302
O1 0.000 0.304 0.122
O2 0.000 0.332 0.881
O3 0.000 0.668 0.119
O4 0.000 0.696 0.878
O5 0.029 0.966 0.106
O6 0.115 0.751 0.326
O7 0.139 0.023 0.547
O8 0.139 0.417 0.309
O9 0.148 0.039 0.317
O10 0.155 0.373 0.543
O11 0.169 0.681 0.541
O12 0.266 0.766 0.749
O13 0.274 0.457 0.742
O14 0.275 0.731 0.978
O15 0.288 0.092 0.970
O16 0.299 0.127 0.726
O17 0.307 0.395 0.955
O18 0.402 0.170 0.174
O19 0.412 0.466 0.419
O20 0.417 0.487 0.161
O21 0.438 0.842 0.165
O22 0.443 0.790 0.409
O23 0.450 0.089 0.404
O24 0.550 0.911 0.596
O25 0.557 0.210 0.591
O26 0.562 0.158 0.835
O27 0.583 0.513 0.839
O28 0.588 0.534 0.581
O29 0.598 0.830 0.826
O30 0.693 0.605 0.045
O31 0.701 0.873 0.274
O32 0.712 0.908 0.030
O33 0.725 0.269 0.022
O34 0.726 0.543 0.258
O35 0.734 0.234 0.251
O36 0.831 0.319 0.459
O37 0.845 0.627 0.457
O38 0.852 0.961 0.683
O39 0.861 0.583 0.691
O40 0.861 0.977 0.453
O41 0.885 0.249 0.674
O42 0.971 0.034 0.894
# space-group type	P-1, No. 2
# total energy after the MP2020 corrections	-616.86	eV/cell
# E_tot	-551.9	eV/cell
# ΔH_f (0 K)	-2554	meV per atom
# crystal system	triclinic

[4]
# Ti3Fe7O15 (PBE with a Hubbard U, optimized geometry)
data_Ti3Fe7O15
_chemical_formula_sum 'Ti6 Fe14 O30'
_symmetry_space_group_name_H-M 'P 1'
_symmetry_Int_Tables_number 1
_symmetry_space_group_name_Hall 'P 1'
_cell_length_a 5.501
_cell_length_b 8.930
_cell_length_c 11.714
_cell_angle_alpha 75.15
_cell_angle_beta 81.52
_cell_angle_gamma 74.57
loop_
_atom_site_label
_atom_site_fract_x
_atom_site_fract_y
_atom_site_fract_z
Ti1 0.000 0.000 0.000
Ti2 0.009 0.503 0.498
Ti3 0.205 0.901 0.701
Ti4 0.396 0.302 0.898
Ti5 0.601 0.695 0.103
Ti6 0.803 0.103 0.307
Fe1 0.101 0.658 0.976
Fe2 0.113 0.157 0.473
Fe3 0.204 0.400 0.202
Fe4 0.303 0.059 0.177
Fe5 0.312 0.557 0.674
Fe6 0.411 0.796 0.401
Fe7 0.497 0.959 0.877
Fe8 0.498 0.460 0.379
Fe9 0.605 0.202 0.601
Fe10 0.699 0.858 0.578
Fe11 0.710 0.360 0.072
Fe12 0.806 0.603 0.798
Fe13 0.898 0.257 0.774
Fe14 0.909 0.759 0.276
O1 0.000 0.256 0.186
O2 0.112 0.713 0.799
O3 0.116 0.387 0.811
O4 0.128 0.037 0.814
O5 0.169 0.006 0.352
O6 0.172 0.370 0.373
O7 0.187 0.665 0.390
O8 0.315 0.109 0.997
O9 0.320 0.794 0.003
O10 0.322 0.434 0.010
O11 0.361 0.406 0.564
O12 0.385 0.772 0.576
O13 0.400 0.056 0.588
O14 0.498 0.519 0.192
O15 0.522 0.191 0.207
O16 0.525 0.835 0.209
O17 0.570 0.812 0.759
O18 0.588 0.166 0.777
O19 0.602 0.452 0.791
O20 0.706 0.916 0.398
O21 0.719 0.597 0.412
O22 0.723 0.225 0.416
O23 0.782 0.200 0.959
O24 0.785 0.574 0.972
O25 0.806 0.867 0.982
O26 0.904 0.314 0.599
O27 0.917 0.635 0.615
O28 0.923 0.989 0.609
O29 0.966 0.612 0.154
O30 0.990 0.969 0.164
# space-group type	P1, No. 1
# total energy after the MP2020 corrections	-427.56	eV/cell
# E_tot	-375.4	eV/cell
# ΔH_f (0 K)	-2263	meV per atom
# crystal system	triclinic

[5]
# Ti3Fe7O15 (PBE with a Hubbard U, optimized geometry)
data_Ti3Fe7O15
_chemical_formula_sum 'Ti6 Fe14 O30'
_symmetry_space_group_name_H-M 'P 1'
_symmetry_Int_Tables_number 1
_symmetry_space_group_name_Hall 'P 1'
_cell_length_a 5.159
_cell_length_b 5.545
_cell_length_c 21.374
_cell_angle_alpha 84.54
_cell_angle_beta 89.68
_cell_angle_gamma 62.58
loop_
_atom_site_label
_atom_site_fract_x
_atom_site_fract_y
_atom_site_fract_z
Ti1 0.000 0.000 0.000
Ti2 0.013 0.025 0.140
Ti3 0.102 0.824 0.439
Ti4 0.403 0.223 0.338
Ti5 0.503 0.030 0.639
Ti6 0.619 0.794 0.801
Fe1 0.110 0.809 0.299
Fe2 0.200 0.618 0.740
Fe3 0.208 0.611 0.598
Fe4 0.304 0.413 0.041
Fe5 0.308 0.406 0.899
Fe6 0.412 0.205 0.198
Fe7 0.508 0.005 0.498
Fe8 0.597 0.821 0.941
Fe9 0.702 0.615 0.239
Fe10 0.709 0.614 0.098
Fe11 0.807 0.417 0.541
Fe12 0.808 0.413 0.399
Fe13 0.905 0.205 0.700
Fe14 0.905 0.215 0.842
O1 0.056 0.297 0.620
O2 0.075 0.167 0.484
O3 0.099 0.578 0.387
O4 0.131 0.433 0.261
O5 0.165 0.302 0.123
O6 0.168 0.052 0.363
O7 0.251 0.797 0.082
O8 0.253 0.161 0.974
O9 0.263 0.905 0.214
O10 0.335 0.653 0.957
O11 0.366 0.045 0.853
O12 0.368 0.910 0.719
O13 0.437 0.532 0.819
O14 0.476 0.368 0.683
O15 0.498 0.778 0.586
O16 0.505 0.660 0.465
O17 0.550 0.240 0.560
O18 0.563 0.497 0.316
O19 0.646 0.102 0.417
O20 0.658 0.974 0.286
O21 0.677 0.371 0.180
O22 0.749 0.124 0.924
O23 0.759 0.233 0.056
O24 0.759 0.864 0.164
O25 0.846 0.724 0.016
O26 0.864 0.960 0.778
O27 0.878 0.589 0.878
O28 0.909 0.865 0.660
O29 0.934 0.453 0.757
O30 0.954 0.712 0.514
# space-group type	P1, No. 1
# total energy after the MP2020 corrections	-427.72	eV/cell
# E_tot	-375.5	eV/cell
# ΔH_f (0 K)	-2267	meV per atom
# crystal system	triclinic

[6]
# Ti7Fe13O30 (PBE with a Hubbard U, optimized geometry)
data_Ti7Fe13O30
_chemical_formula_sum 'Ti7 Fe13 O30'
_symmetry_space_group_name_H-M 'P 1'
_symmetry_Int_Tables_number 1
_symmetry_space_group_name_Hall 'P 1'
_cell_length_a 5.542
_cell_length_b 8.967
_cell_length_c 11.736
_cell_angle_alpha 75.43
_cell_angle_beta 82.30
_cell_angle_gamma 74.08
loop_
_atom_site_label
_atom_site_fract_x
_atom_site_fract_y
_atom_site_fract_z
Ti1 0.000 0.000 0.000
Ti2 0.007 0.503 0.499
Ti3 0.110 0.161 0.476
Ti4 0.209 0.889 0.702
Ti5 0.399 0.305 0.893
Ti6 0.611 0.690 0.104
Ti7 0.802 0.105 0.302
Fe1 0.112 0.652 0.978
Fe2 0.196 0.403 0.200
Fe3 0.299 0.558 0.676
Fe4 0.304 0.058 0.175
Fe5 0.397 0.798 0.400
Fe6 0.500 0.958 0.875
Fe7 0.502 0.459 0.378
Fe8 0.606 0.200 0.605
Fe9 0.699 0.360 0.075
Fe10 0.708 0.861 0.573
Fe11 0.796 0.604 0.801
Fe12 0.898 0.759 0.279
Fe13 0.902 0.256 0.771
O1 0.113 0.715 0.792
O2 0.122 0.394 0.809
O3 0.132 0.028 0.821
O4 0.164 0.032 0.360
O5 0.181 0.659 0.379
O6 0.184 0.344 0.386
O7 0.311 0.109 0.997
O8 0.330 0.805 0.005
O9 0.344 0.425 0.010
O10 0.372 0.413 0.565
O11 0.378 0.760 0.586
O12 0.381 0.074 0.573
O13 0.512 0.512 0.192
O14 0.523 0.189 0.205
O15 0.530 0.840 0.208
O16 0.564 0.830 0.757
O17 0.577 0.155 0.779
O18 0.581 0.450 0.782
O19 0.724 0.913 0.389
O20 0.731 0.596 0.406
O21 0.736 0.225 0.415
O22 0.779 0.560 0.986
O23 0.783 0.204 0.969
O24 0.798 0.875 0.978
O25 0.908 0.309 0.584
O26 0.929 0.007 0.605
O27 0.940 0.624 0.613
O28 0.957 0.626 0.163
O29 0.984 0.252 0.178
O30 0.998 0.956 0.170
# space-group type	P1, No. 1
# total energy after the MP2020 corrections	-408.47	eV/cell
# E_tot	-358.5	eV/cell
# ΔH_f (0 K)	-1893	meV per atom
# crystal system	triclinic

[7]
# Ti4Fe2O (PBE with a Hubbard U, optimized geometry)
data_Ti4Fe2O
_chemical_formula_sum 'Ti16 Fe8 O4'
_symmetry_space_group_name_H-M 'P 1'
_symmetry_Int_Tables_number 1
_symmetry_space_group_name_Hall 'P 1'
_cell_length_a 8.032
_cell_length_b 8.032
_cell_length_c 8.032
_cell_angle_alpha 60.00
_cell_angle_beta 60.00
_cell_angle_gamma 60.00
loop_
_atom_site_label
_atom_site_fract_x
_atom_site_fract_y
_atom_site_fract_z
Ti1 0.000 0.000 0.000
Ti2 0.000 0.000 0.500
Ti3 0.000 0.500 0.000
Ti4 0.188 0.188 0.562
Ti5 0.188 0.562 0.188
Ti6 0.188 0.562 0.562
Ti7 0.438 0.438 0.812
Ti8 0.438 0.812 0.438
Ti9 0.438 0.812 0.812
Ti10 0.500 0.000 0.000
Ti11 0.562 0.188 0.188
Ti12 0.562 0.188 0.562
Ti13 0.562 0.562 0.188
Ti14 0.812 0.438 0.438
Ti15 0.812 0.438 0.812
Ti16 0.812 0.812 0.438
Fe1 0.133 0.789 0.789
Fe2 0.211 0.211 0.211
Fe3 0.211 0.211 0.867
Fe4 0.211 0.867 0.211
Fe5 0.789 0.133 0.789
Fe6 0.789 0.789 0.133
Fe7 0.789 0.789 0.789
Fe8 0.867 0.211 0.211
O1 0.000 0.500 0.500
O2 0.500 0.000 0.500
O3 0.500 0.500 0.000
O4 0.500 0.500 0.500
# space-group type	Fd-3m, No. 227
# total energy after the MP2020 corrections	-224.61	eV/cell
# E_tot	-203.8	eV/cell
# ΔH_f (0 K)	-383	meV per atom
# crystal system	cubic